First-principles (PBE+U) data for crystalline Li4Mn3Cr2Fe3O16 at its relaxed geometry, as listed in the Materials Project database.

Output
VASP energy: -6.71 eV/atom
ΔH_f (0 K): -1.987 eV/atom

a b c (Å): 5.880 5.880 9.522
angles (deg): 90.53 90.53 59.62
Element x y z (fractional)
Li1 0.000 0.000 0.000
Li2 0.001 0.001 0.502
Li3 0.330 0.330 0.400
Li4 0.664 0.664 0.898
Mn1 0.170 0.170 0.719
Mn2 0.337 0.831 0.219
Mn3 0.831 0.337 0.219
Cr1 0.335 0.335 0.991
Cr2 0.668 0.668 0.491
Fe1 0.169 0.663 0.718
Fe2 0.663 0.169 0.718
Fe3 0.832 0.832 0.218
O1 0.005 0.005 0.315
O2 0.006 0.006 0.814
O3 0.036 0.473 0.845
O4 0.160 0.160 0.110
O5 0.169 0.676 0.104
O6 0.328 0.328 0.609
O7 0.328 0.842 0.604
O8 0.473 0.036 0.845
O9 0.479 0.479 0.849
O10 0.508 0.962 0.345
O11 0.518 0.518 0.339
O12 0.660 0.660 0.112
O13 0.676 0.169 0.104
O14 0.836 0.836 0.602
O15 0.842 0.328 0.604
O16 0.962 0.508 0.345

---

First-principles (PBE+U) data for crystalline Ca2CeNiO6 at its relaxed geometry, as listed in the Materials Project database.

Output
VASP energy: -6.43 eV/atom
ΔH_f (0 K): -2.554 eV/atom

a b c (Å): 5.685 5.685 5.685
angles (deg): 60.00 60.00 60.00
Element x y z (fractional)
Ca1 0.250 0.250 0.250
Ca2 0.750 0.750 0.750
Ce1 0.000 0.000 0.000
Ni1 0.500 0.500 0.500
O1 0.269 0.269 0.731
O2 0.269 0.731 0.269
O3 0.269 0.731 0.731
O4 0.731 0.269 0.269
O5 0.731 0.269 0.731
O6 0.731 0.731 0.269

---

First-principles (PBE+U) data for crystalline Li2Cr3BiO8 at its relaxed geometry, as listed in the Materials Project database.

Output
Excess energy over the best structure of this formula in the dataset: 0.0198 eV/atom
VASP energy: -6.75 eV/atom
ΔH_f (0 K): -2.124 eV/atom

a b c (Å): 8.651 8.671 8.702
angles (deg): 90.25 90.64 90.40
Element x y z (fractional)
Li1 0.000 0.000 0.000
Li2 0.000 0.497 0.500
Li3 0.248 0.252 0.251
Li4 0.249 0.751 0.749
Li5 0.497 0.498 0.999
Li6 0.498 0.000 0.498
Li7 0.748 0.751 0.252
Li8 0.749 0.252 0.749
Cr1 0.109 0.141 0.624
Cr2 0.122 0.388 0.858
Cr3 0.137 0.626 0.111
Cr4 0.359 0.375 0.611
Cr5 0.374 0.612 0.362
Cr6 0.390 0.858 0.125
Cr7 0.610 0.362 0.376
Cr8 0.623 0.110 0.140
Cr9 0.635 0.873 0.889
Cr10 0.856 0.125 0.393
Cr11 0.874 0.887 0.636
Cr12 0.893 0.640 0.875
Bi1 0.125 0.876 0.375
Bi2 0.372 0.126 0.874
Bi3 0.624 0.624 0.625
Bi4 0.874 0.374 0.127
O1 0.082 0.136 0.390
O2 0.104 0.906 0.633
O3 0.109 0.624 0.881
O4 0.110 0.158 0.855
O5 0.130 0.370 0.631
O6 0.132 0.396 0.092
O7 0.142 0.617 0.342
O8 0.164 0.860 0.114
O9 0.342 0.143 0.614
O10 0.354 0.385 0.844
O11 0.371 0.638 0.132
O12 0.374 0.612 0.598
O13 0.381 0.383 0.382
O14 0.385 0.845 0.354
O15 0.389 0.084 0.136
O16 0.405 0.863 0.895
O17 0.598 0.375 0.611
O18 0.610 0.876 0.118
O19 0.611 0.598 0.377
O20 0.612 0.342 0.145
O21 0.634 0.104 0.908
O22 0.637 0.132 0.372
O23 0.637 0.873 0.653
O24 0.656 0.637 0.875
O25 0.843 0.355 0.385
O26 0.856 0.113 0.165
O27 0.862 0.895 0.406
O28 0.868 0.859 0.867
O29 0.874 0.117 0.611
O30 0.875 0.652 0.641
O31 0.886 0.416 0.864
O32 0.905 0.637 0.103

---

First-principles (PBE+U) data for crystalline Mn2OF3 at its relaxed geometry, as listed in the Materials Project database.

Output
Excess energy over the best structure of this formula in the dataset: 0.0196 eV/atom
VASP energy: -6.55 eV/atom
ΔH_f (0 K): -2.619 eV/atom

a b c (Å): 10.273 10.273 4.871
angles (deg): 92.22 92.22 35.84
Element x y z (fractional)
Mn1 0.000 0.000 0.000
Mn2 0.121 0.629 0.500
Mn3 0.259 0.259 0.035
Mn4 0.371 0.879 0.500
Mn5 0.500 0.500 0.000
Mn6 0.629 0.121 0.500
Mn7 0.741 0.741 0.965
Mn8 0.879 0.371 0.500
O1 0.082 0.082 0.326
O2 0.333 0.333 0.331
O3 0.667 0.667 0.669
O4 0.918 0.918 0.674
F1 0.050 0.551 0.797
F2 0.179 0.179 0.714
F3 0.198 0.700 0.203
F4 0.300 0.802 0.797
F5 0.425 0.425 0.699
F6 0.449 0.950 0.203
F7 0.551 0.050 0.797
F8 0.575 0.575 0.301
F9 0.700 0.198 0.203
F10 0.802 0.300 0.797
F11 0.821 0.821 0.286
F12 0.950 0.449 0.203

---

First-principles (PBE+U) data for crystalline CsCrS2O8 at its relaxed geometry, as listed in the Materials Project database.

Output
VASP energy: -6.34 eV/atom
ΔH_f (0 K): -2.100 eV/atom

a b c (Å): 5.121 5.121 17.785
angles (deg): 89.99 89.99 60.00
Element x y z (fractional)
O1 0.866 0.781 0.570
Cs1 0.000 0.000 0.750
S1 0.333 0.333 0.403
O2 0.219 0.134 0.930
O3 0.353 0.866 0.570
O4 0.134 0.648 0.430
O5 0.781 0.353 0.070
O6 0.866 0.782 0.070
O7 0.352 0.866 0.070
Cs2 0.000 0.999 0.250
O8 0.666 0.667 0.679
O9 0.219 0.134 0.430
O10 0.134 0.648 0.930
O11 0.781 0.353 0.570
S2 0.667 0.667 0.097
O12 0.667 0.666 0.179
O13 0.647 0.219 0.430
S3 0.667 0.667 0.597
S4 0.333 0.333 0.903
Cr1 0.000 0.000 0.000
O14 0.647 0.219 0.930
O15 0.333 0.334 0.321
O16 0.334 0.333 0.821
Cr2 0.000 0.000 0.500

---

First-principles (PBE+U) data for crystalline Rb2Cr2O7 at its relaxed geometry, as listed in the Materials Project database.

Output
Excess energy over the best structure of this formula in the dataset: 0.0010 eV/atom
VASP energy: -6.21 eV/atom
ΔH_f (0 K): -1.933 eV/atom

a b c (Å): 7.938 7.938 7.873
angles (deg): 90.05 90.05 59.23
Element x y z (fractional)
Rb1 0.000 0.294 0.352
Rb2 0.000 0.706 0.648
Rb3 0.294 0.000 0.852
Rb4 0.706 0.000 0.148
Cr1 0.223 0.576 0.143
Cr2 0.424 0.777 0.357
Cr3 0.576 0.223 0.643
Cr4 0.777 0.424 0.857
O1 0.045 0.636 0.279
O2 0.140 0.738 0.988
O3 0.262 0.860 0.512
O4 0.302 0.356 0.070
O5 0.356 0.302 0.570
O6 0.364 0.955 0.221
O7 0.421 0.579 0.250
O8 0.579 0.421 0.750
O9 0.636 0.045 0.779
O10 0.644 0.698 0.430
O11 0.698 0.644 0.930
O12 0.738 0.140 0.488
O13 0.860 0.262 0.012
O14 0.955 0.364 0.721